(1)
DFT (r2SCAN) results for a relaxed structure of TbAl.

Computed properties:
ΔE_f = -0.49 eV per atom
V = 23.44 Å³/atom
Total DFT energy (no corrections) = -19.46 eV/atom

Lattice parameters (Å, degrees): 5.831 11.441 5.621 90.00 90.00 90.00
Fractional positions:
Tb (0.096, 0.167, 0.250)
Tb (0.096, 0.333, 0.750)
Tb (0.337, 0.014, 0.750)
Tb (0.337, 0.486, 0.250)
Tb (0.663, 0.514, 0.750)
Tb (0.663, 0.986, 0.250)
Tb (0.904, 0.667, 0.250)
Tb (0.904, 0.833, 0.750)
Al (0.164, 0.599, 0.750)
Al (0.164, 0.901, 0.250)
Al (0.432, 0.750, 0.000)
Al (0.432, 0.750, 0.500)
Al (0.568, 0.250, 0.000)
Al (0.568, 0.250, 0.500)
Al (0.836, 0.099, 0.750)
Al (0.836, 0.401, 0.250)

***

(2)
DFT (r2SCAN) results for a relaxed structure of Zr3P3Pd4.

Computed properties:
ΔE_f = -1.11 eV per atom
V = 15.82 Å³/atom
Total DFT energy (no corrections) = -19.82 eV/atom

Lattice parameters (Å, degrees): 16.461 3.834 10.030 90.00 90.00 90.00
Fractional positions:
Zr (0.049, 0.250, 0.117)
Zr (0.061, 0.750, 0.589)
Zr (0.239, 0.250, 0.976)
Zr (0.261, 0.750, 0.476)
Zr (0.439, 0.250, 0.089)
Zr (0.451, 0.750, 0.617)
Zr (0.549, 0.250, 0.383)
Zr (0.561, 0.750, 0.911)
Zr (0.739, 0.250, 0.524)
Zr (0.761, 0.750, 0.024)
Zr (0.939, 0.250, 0.411)
Zr (0.951, 0.750, 0.883)
P (0.045, 0.750, 0.319)
P (0.114, 0.750, 0.963)
P (0.177, 0.250, 0.611)
P (0.323, 0.750, 0.111)
P (0.386, 0.250, 0.463)
P (0.455, 0.250, 0.819)
P (0.545, 0.750, 0.181)
P (0.614, 0.750, 0.537)
P (0.677, 0.250, 0.889)
P (0.823, 0.750, 0.389)
P (0.886, 0.250, 0.037)
P (0.955, 0.250, 0.681)
Pd (0.081, 0.250, 0.817)
Pd (0.128, 0.250, 0.383)
Pd (0.176, 0.750, 0.189)
Pd (0.206, 0.750, 0.765)
Pd (0.294, 0.250, 0.265)
Pd (0.324, 0.250, 0.689)
Pd (0.372, 0.750, 0.883)
Pd (0.419, 0.750, 0.317)
Pd (0.581, 0.250, 0.683)
Pd (0.628, 0.250, 0.117)
Pd (0.676, 0.750, 0.311)
Pd (0.706, 0.750, 0.735)
Pd (0.794, 0.250, 0.235)
Pd (0.824, 0.250, 0.811)
Pd (0.872, 0.750, 0.617)
Pd (0.919, 0.750, 0.183)

***

(3)
DFT (r2SCAN) results for a relaxed structure of GdH2.

Computed properties:
ΔE_f = -0.74 eV per atom
V = 12.32 Å³/atom
Total DFT energy (no corrections) = -17.51 eV/atom

Lattice parameters (Å, degrees): 3.739 3.739 3.739 60.00 60.00 60.00
Fractional positions:
Gd (0.000, 0.000, 0.000)
H (0.250, 0.250, 0.250)
H (0.750, 0.750, 0.750)

***

(4)
DFT (r2SCAN) results for a relaxed structure of GdVO4.

Computed properties:
ΔE_f = -3.23 eV per atom
V = 13.82 Å³/atom
Total DFT energy (no corrections) = -16.80 eV/atom

Lattice parameters (Å, degrees): 6.016 6.016 6.016 106.19 106.19 116.24
Fractional positions:
Gd (0.375, 0.625, 0.750)
Gd (0.625, 0.375, 0.250)
V (0.125, 0.875, 0.250)
V (0.875, 0.125, 0.750)
O (0.135, 0.702, 0.433)
O (0.230, 0.298, 0.933)
O (0.298, 0.230, 0.433)
O (0.298, 0.865, 0.067)
O (0.702, 0.135, 0.933)
O (0.702, 0.770, 0.567)
O (0.770, 0.702, 0.067)
O (0.865, 0.298, 0.567)

***

(5)
DFT (r2SCAN) results for a relaxed structure of RbErO2.

Computed properties:
ΔE_f = -3.02 eV per atom
V = 16.58 Å³/atom
Total DFT energy (no corrections) = -17.97 eV/atom

Lattice parameters (Å, degrees): 6.791 6.791 6.791 29.28 29.28 29.28
Fractional positions:
Rb (0.000, 0.000, 0.000)
Er (0.500, 0.500, 0.500)
O (0.225, 0.225, 0.225)
O (0.775, 0.775, 0.775)

***

(6)
DFT (r2SCAN) results for a relaxed structure of ErRe2O8.

Computed properties:
ΔE_f = -2.15 eV per atom
V = 17.59 Å³/atom
Total DFT energy (no corrections) = -19.10 eV/atom

Lattice parameters (Å, degrees): 6.066 6.066 6.072 90.00 90.00 120.00
Fractional positions:
Er (0.000, 0.000, 0.000)
Re (0.333, 0.667, 0.299)
Re (0.667, 0.333, 0.701)
O (0.175, 0.350, 0.200)
O (0.175, 0.825, 0.200)
O (0.333, 0.667, 0.584)
O (0.350, 0.175, 0.800)
O (0.650, 0.825, 0.200)
O (0.667, 0.333, 0.416)
O (0.825, 0.175, 0.800)
O (0.825, 0.650, 0.800)

***

Look up the ΔE_f of the third one.
-0.74 eV per atom

***

What did the sixth record say?
DFT (r2SCAN) results for a relaxed structure of ErRe2O8.

Computed properties:
ΔE_f = -2.15 eV per atom
V = 17.59 Å³/atom
Total DFT energy (no corrections) = -19.10 eV/atom

Lattice parameters (Å, degrees): 6.066 6.066 6.072 90.00 90.00 120.00
Fractional positions:
Er (0.000, 0.000, 0.000)
Re (0.333, 0.667, 0.299)
Re (0.667, 0.333, 0.701)
O (0.175, 0.350, 0.200)
O (0.175, 0.825, 0.200)
O (0.333, 0.667, 0.584)
O (0.350, 0.175, 0.800)
O (0.650, 0.825, 0.200)
O (0.667, 0.333, 0.416)
O (0.825, 0.175, 0.800)
O (0.825, 0.650, 0.800)

***

Which value of V does entry 1 give?
23.44 Å³/atom

***

What is the formula in the first record?
TbAl